[1]
A plane-wave DFT calculation with PBE-GGA was carried out for crystalline Cd8Cu7P30 at its relaxed geometry.

Results
- energy of formation from the pure elements (eV/f.u.) = -4.68
- crystal system = triclinic
- space group = P1, No. 1

Structure (CIF):
```
data_Cd8Cu7P30
_cell_length_a 7.425
_cell_length_b 7.438
_cell_length_c 18.233
_cell_angle_alpha 89.66
_cell_angle_beta 89.68
_cell_angle_gamma 60.06
_space_group_name_H-M_alt 'P 1'
_space_group_IT_number 1
loop_
_space_group_symop_operation_xyz
'x,y,z'
loop_
_atom_site_label
_atom_site_type_symbol
_atom_site_fract_x
_atom_site_fract_y
_atom_site_fract_z
Cd1 Cd 0.000 0.000 0.000
Cd2 Cd 0.000 0.384 0.996
Cd3 Cd 0.127 0.128 0.127
Cd4 Cd 0.333 0.716 0.336
Cd5 Cd 0.334 0.333 0.335
Cd6 Cd 0.467 0.447 0.464
Cd7 Cd 0.668 0.669 0.666
Cd8 Cd 0.788 0.813 0.788
Cu1 Cu 0.107 0.631 0.661
Cu2 Cu 0.124 0.127 0.533
Cu3 Cu 0.423 0.980 0.995
Cu4 Cu 0.458 0.461 0.866
Cu5 Cu 0.633 0.101 0.663
Cu6 Cu 0.755 0.313 0.329
Cu7 Cu 0.791 0.795 0.200
P1 P 0.107 0.635 0.535
P2 P 0.124 0.124 0.660
P3 P 0.133 0.624 0.157
P4 P 0.141 0.620 0.036
P5 P 0.274 0.802 0.702
P6 P 0.289 0.803 0.823
P7 P 0.290 0.286 0.700
P8 P 0.290 0.289 0.821
P9 P 0.300 0.302 0.196
P10 P 0.300 0.779 0.196
P11 P 0.440 0.971 0.868
P12 P 0.460 0.461 0.994
P13 P 0.468 0.957 0.493
P14 P 0.475 0.955 0.372
P15 P 0.606 0.138 0.035
P16 P 0.607 0.638 0.035
P17 P 0.622 0.136 0.157
P18 P 0.622 0.623 0.157
P19 P 0.633 0.633 0.529
P20 P 0.636 0.105 0.538
P21 P 0.773 0.304 0.202
P22 P 0.792 0.796 0.328
P23 P 0.798 0.291 0.821
P24 P 0.800 0.274 0.700
P25 P 0.937 0.972 0.371
P26 P 0.939 0.471 0.369
P27 P 0.953 0.957 0.493
P28 P 0.955 0.468 0.490
P29 P 0.964 0.451 0.857
P30 P 0.967 0.971 0.862
```

=====

[2]
A plane-wave DFT calculation with PBE-GGA was carried out for crystalline ZrCrCuS4 at its relaxed geometry.

Results
- energy above the most stable polymorph in this dataset (eV/f.u.) = 1.75
- energy of formation from the pure elements (eV/f.u.) = -7.05
- crystal system = triclinic
- space group = P1, No. 1

Structure (CIF):
```
data_ZrCrCuS4
_cell_length_a 6.540
_cell_length_b 7.524
_cell_length_c 12.453
_cell_angle_alpha 98.67
_cell_angle_beta 95.00
_cell_angle_gamma 90.02
_space_group_name_H-M_alt 'P 1'
_space_group_IT_number 1
loop_
_space_group_symop_operation_xyz
'x,y,z'
loop_
_atom_site_label
_atom_site_type_symbol
_atom_site_fract_x
_atom_site_fract_y
_atom_site_fract_z
Zr1 Zr 0.000 0.000 0.000
Zr2 Zr 0.090 0.178 0.695
Zr3 Zr 0.492 0.724 0.994
Zr4 Zr 0.719 0.587 0.397
Cr1 Cr 0.223 0.330 0.399
Cr2 Cr 0.225 0.850 0.401
Cr3 Cr 0.483 0.244 0.990
Cr4 Cr 0.616 0.408 0.697
Cu1 Cu 0.112 0.657 0.697
Cu2 Cu 0.602 0.917 0.691
Cu3 Cu 0.733 0.090 0.400
Cu4 Cu 0.986 0.485 0.992
S1 S 0.049 0.070 0.336
S2 S 0.070 0.575 0.332
S3 S 0.162 0.745 0.075
S4 S 0.181 0.276 0.073
S5 S 0.256 0.880 0.582
S6 S 0.276 0.392 0.585
S7 S 0.462 0.681 0.795
S8 S 0.472 0.196 0.803
S9 S 0.534 0.838 0.329
S10 S 0.536 0.306 0.328
S11 S 0.659 0.018 0.074
S12 S 0.682 0.493 0.072
S13 S 0.744 0.144 0.589
S14 S 0.757 0.634 0.595
S15 S 0.947 0.447 0.805
S16 S 0.965 0.929 0.803
```